## Sr2SmMgTaCu2O8 (PBE)

Data for a relaxed Sr2SmMgTaCu2O8 crystal.

Calculated values
total magnetic moment = 0.00 μB/atom
calculated formation energy = -2.45 eV/atom

a = 4.045 Å, b = 4.045 Å, c = 13.140 Å
α = 90.00°, β = 90.00°, γ = 90.00°
Positions (direct):
O1 0.500 0.000 0.618
O2 0.000 0.500 0.000
O3 0.000 0.500 0.382
O4 0.500 0.000 0.382
O5 0.500 0.000 0.000
O6 0.000 0.000 0.850
O7 0.000 0.000 0.150
O8 0.000 0.500 0.618
Sm1 0.500 0.500 0.500
Sr1 0.500 0.500 0.254
Sr2 0.500 0.500 0.746
Ta1 0.000 0.000 0.000
Mg1 0.500 0.500 0.000
Cu1 0.000 0.000 0.611
Cu2 0.000 0.000 0.389

---

## Mg14CuSnO16 (PBE)

Data for a relaxed Mg14CuSnO16 crystal.

Calculated values
total magnetic moment = 0.00 μB/atom
calculated formation energy = -2.75 eV/atom

a = 8.722 Å, b = 8.637 Å, c = 4.308 Å
α = 90.00°, β = 90.00°, γ = 90.00°
Positions (direct):
O1 0.000 0.755 0.000
O2 0.500 0.748 0.000
O3 0.500 0.500 0.500
O4 0.000 0.000 0.500
O5 0.268 0.000 0.000
O6 0.000 0.500 0.500
O7 0.752 0.749 0.500
O8 0.732 0.000 0.000
O9 0.000 0.245 0.000
O10 0.752 0.251 0.500
O11 0.248 0.251 0.500
O12 0.500 0.000 0.500
O13 0.248 0.749 0.500
O14 0.263 0.500 0.000
O15 0.737 0.500 0.000
O16 0.500 0.252 0.000
Mg1 0.254 0.240 0.000
Mg2 0.500 0.500 0.000
Mg3 0.500 0.000 0.000
Mg4 0.000 0.234 0.500
Mg5 0.751 0.000 0.500
Mg6 0.000 0.766 0.500
Mg7 0.254 0.760 0.000
Mg8 0.746 0.760 0.000
Mg9 0.739 0.500 0.500
Mg10 0.261 0.500 0.500
Mg11 0.249 0.000 0.500
Mg12 0.500 0.246 0.500
Mg13 0.746 0.240 0.000
Mg14 0.500 0.754 0.500
Sn1 0.000 0.500 0.000
Cu1 0.000 0.000 0.000

---

## Mg6CuSnO8 (PBE)

Data for a relaxed Mg6CuSnO8 crystal.

Calculated values
total magnetic moment = 0.01 μB/atom
calculated formation energy = -2.48 eV/atom

a = 8.894 Å, b = 4.351 Å, c = 4.351 Å
α = 90.00°, β = 90.00°, γ = 90.00°
Positions (direct):
O1 0.000 0.500 0.000
O2 0.262 0.500 0.500
O3 0.500 0.500 0.000
O4 0.732 0.000 0.000
O5 0.268 0.000 0.000
O6 0.000 0.000 0.500
O7 0.738 0.500 0.500
O8 0.500 0.000 0.500
Mg1 0.500 0.500 0.500
Mg2 0.739 0.500 0.000
Mg3 0.739 0.000 0.500
Mg4 0.500 0.000 0.000
Mg5 0.261 0.000 0.500
Mg6 0.261 0.500 0.000
Sn1 0.000 0.500 0.500
Cu1 0.000 0.000 0.000